1.
Material: Tm2TeS2
Method: DFT, r2SCAN
State: relaxed

The structure in POSCAR format:
```
Tm2TeS2
1.0
4.120 0.000 0.000
0.000 5.272 0.000
0.000 0.000 13.249
Tm Te S
4 2 4
Direct
0.000 0.000 0.167
0.000 0.000 0.833
0.500 0.500 0.333
0.500 0.500 0.667
0.000 0.500 0.500
0.500 0.000 0.000
0.000 0.500 0.202
0.000 0.500 0.798
0.500 0.000 0.298
0.500 0.000 0.702
```


2.
Material: LiVCdF6
Method: DFT, r2SCAN
State: relaxed

The structure in POSCAR format:
```
LiVCdF6
1.0
5.128 0.000 0.000
-2.564 4.441 0.000
0.000 0.000 9.539
Li V Cd F
2 2 2 12
Direct
0.333 0.667 0.250
0.667 0.333 0.750
0.333 0.667 0.750
0.667 0.333 0.250
0.000 0.000 0.000
0.000 0.000 0.500
0.009 0.359 0.862
0.009 0.650 0.638
0.350 0.359 0.638
0.350 0.991 0.862
0.359 0.009 0.362
0.359 0.350 0.138
0.641 0.650 0.862
0.641 0.991 0.638
0.650 0.009 0.138
0.650 0.641 0.362
0.991 0.350 0.362
0.991 0.641 0.138
```


| no. | calculated total energy (eV per atom) | magnetic moment (μB per formula unit) | formation energy (eV/atom) |
| --- | --- | --- | --- |
| 1 | -24.48 | 0.0 | -2.136 |
| 2 | -9.13 | 2.0 | -2.977 |